1.
Mg6ZnCr | PBE | relaxed

Unit cell a=4.9493 b=6.1942 c=10.6890 alpha=90.00 beta=90.00 gamma=90.00
With the nearest neighbours (Å) after each atom.
Fractional positions:
Mg  0.0000  0.7437  0.9130  2 Zn 2.98-3.20, 8 Mg 3.02-3.17, 2 Cr 3.03
Mg  0.0000  0.2563  0.9130  2 Zn 2.98-3.20, 8 Mg 3.02-3.17, 2 Cr 3.03
Mg  0.0000  0.5000  0.1669  10 Mg 3.05-3.11, 2 Zn 3.10
Mg  0.5000  0.7560  0.0850  8 Mg 3.02-3.17, 2 Cr 3.03-3.15, 2 Zn 3.05
Mg  0.5000  0.2440  0.0850  8 Mg 3.02-3.17, 2 Cr 3.03-3.15, 2 Zn 3.05
Mg  0.5000  0.5000  0.3338  10 Mg 3.05-3.10, 2 Cr 3.10
Mg  0.0000  0.2437  0.4130  2 Zn 2.98-3.20, 8 Mg 3.02-3.17, 2 Cr 3.03
Mg  0.0000  0.7563  0.4130  2 Zn 2.98-3.20, 8 Mg 3.02-3.17, 2 Cr 3.03
Mg  0.0000  0.0000  0.6669  10 Mg 3.05-3.11, 2 Zn 3.10
Mg  0.5000  0.2560  0.5850  8 Mg 3.02-3.17, 2 Cr 3.03-3.15, 2 Zn 3.05
Mg  0.5000  0.7440  0.5850  8 Mg 3.02-3.17, 2 Cr 3.03-3.15, 2 Zn 3.05
Mg  0.5000  0.0000  0.8338  10 Mg 3.05-3.10, 2 Cr 3.10
Zn  0.0000  0.5000  0.6724  10 Mg 2.98-3.20, 2 Cr 3.00
Zn  0.0000  0.0000  0.1724  10 Mg 2.98-3.20, 2 Cr 3.00
Cr  0.5000  0.5000  0.8309  2 Zn 3.00, 10 Mg 3.03-3.15
Cr  0.5000  0.0000  0.3309  2 Zn 3.00, 10 Mg 3.03-3.15

## Properties
**Energy above the most stable polymorph in this dataset**: 0.0 meV per atom
**Total energy**: -39.1 eV for the cell shown
**E_form**: 0.124 eV/atom



2.
Mn2CrN3 | PBE | relaxed

Unit cell a=5.2618 b=5.0457 c=5.0406 alpha=90.00 beta=90.00 gamma=118.65
With the nearest neighbours (Å) after each atom.
Fractional positions:
Mn  0.3757  0.3654  0.4768  4 N 1.86-1.91
Mn  0.6243  0.9897  0.4768  4 N 1.86-1.91
Mn  0.6243  0.6346  0.9768  4 N 1.86-1.91
Mn  0.3757  0.0103  0.9768  4 N 1.86-1.91
Cr  0.0000  0.6587  0.5343  4 N 1.86-1.89
Cr  0.0000  0.3413  0.0343  4 N 1.86-1.89
N  0.2922  0.3124  0.8398  3 Mn 1.86-1.91, 1 Cr 1.89
N  0.7078  0.0202  0.8398  3 Mn 1.86-1.91, 1 Cr 1.89
N  0.7078  0.6876  0.3398  3 Mn 1.86-1.91, 1 Cr 1.89
N  0.2922  0.9798  0.3398  3 Mn 1.86-1.91, 1 Cr 1.89
N  0.0000  0.6854  0.9045  2 Cr 1.86-1.87, 2 Mn 1.90
N  0.0000  0.3146  0.4045  2 Cr 1.86-1.87, 2 Mn 1.90

## Properties
**Total energy**: -109.2 eV for the cell shown
**Symmetry**: Cmc2_1
**E_form**: -0.447 eV/atom



3.
Mn3Cr2N4 | PBE | relaxed

Unit cell a=6.1736 b=6.4877 c=5.3894 alpha=90.00 beta=93.75 gamma=121.70
With the nearest neighbours (Å) after each atom.
Fractional positions:
Mn  0.3645  0.0881  0.9465  4 N 1.85-1.96
Mn  0.6355  0.7235  0.5535  4 N 1.85-1.96
Mn  0.6355  0.9119  0.0535  4 N 1.85-1.96
Mn  0.3645  0.2765  0.4465  4 N 1.85-1.96
Mn  0.0000  0.6748  0.7500  4 N 1.96-2.09
Mn  0.0000  0.3252  0.2500  4 N 1.96-2.09
Cr  0.6804  0.1942  0.6324  4 N 1.88-2.07
Cr  0.3196  0.5138  0.8676  4 N 1.88-2.07
Cr  0.3196  0.8058  0.3676  4 N 1.88-2.07
Cr  0.6804  0.4862  0.1324  4 N 1.88-2.07
N  0.2858  0.9958  0.6067  2 Mn 1.85-1.88, 2 Cr 1.88-2.07
N  0.7142  0.7100  0.8933  2 Mn 1.85-1.88, 2 Cr 1.88-2.07
N  0.7142  0.0042  0.3933  2 Mn 1.85-1.88, 2 Cr 1.88-2.07
N  0.2858  0.2900  0.1067  2 Mn 1.85-1.88, 2 Cr 1.88-2.07
N  0.7353  0.2446  0.9806  2 Cr 1.88-1.96, 3 Mn 1.95-1.96
N  0.2647  0.5093  0.5194  2 Cr 1.88-1.96, 3 Mn 1.95-1.96
N  0.2647  0.7554  0.0194  2 Cr 1.88-1.96, 3 Mn 1.95-1.96
N  0.7353  0.4907  0.4806  2 Cr 1.88-1.96, 3 Mn 1.95-1.96

## Properties
**Total energy**: -164.5 eV for the cell shown
**Symmetry**: C2/c
**E_form**: -0.393 eV/atom



4.
MnCrN2 | PBE | relaxed

Unit cell a=5.0842 b=6.1584 c=4.9468 alpha=90.00 beta=90.00 gamma=90.00
With the nearest neighbours (Å) after each atom.
Fractional positions:
Mn  0.5695  0.8858  0.9447  4 N 1.84-1.93
Mn  0.4305  0.1142  0.4447  4 N 1.84-1.93
Mn  0.9305  0.3858  0.4447  4 N 1.84-1.93
Mn  0.0695  0.6142  0.9447  4 N 1.84-1.93
Cr  0.5935  0.3545  0.0351  4 N 1.87-1.91
Cr  0.4065  0.6455  0.5351  4 N 1.87-1.91
Cr  0.9065  0.8545  0.5351  4 N 1.87-1.91
Cr  0.0935  0.1455  0.0351  4 N 1.87-1.91
N  0.5860  0.8585  0.3336  2 Mn 1.85-1.93, 2 Cr 1.88-1.91
N  0.4140  0.1415  0.8336  2 Mn 1.85-1.93, 2 Cr 1.88-1.91
N  0.9140  0.3585  0.8336  2 Mn 1.85-1.93, 2 Cr 1.88-1.91
N  0.0860  0.6415  0.3336  2 Mn 1.85-1.93, 2 Cr 1.88-1.91
N  0.5710  0.3933  0.4086  2 Mn 1.84-1.87, 2 Cr 1.87
N  0.4290  0.6067  0.9086  2 Mn 1.84-1.87, 2 Cr 1.87
N  0.9290  0.8933  0.9086  2 Mn 1.84-1.87, 2 Cr 1.87
N  0.0710  0.1067  0.4086  2 Mn 1.84-1.87, 2 Cr 1.87

## Properties
**Energy above the most stable polymorph in this dataset**: 0.0 meV per atom
**Total energy**: -146.1 eV for the cell shown
**Symmetry**: Pna2_1
**E_form**: -0.439 eV/atom



5.
MnCrN2 | PBE | relaxed

Unit cell a=2.7559 b=5.3295 c=15.2650 alpha=17.38 beta=90.03 gamma=75.03
With the nearest neighbours (Å) after each atom.
Fractional positions:
Mn  0.0000  0.7501  0.0843  6 N 2.03-2.07
Cr  0.0001  0.7498  0.2503  6 N 2.01-2.03
N  0.0001  0.7496  0.5009  3 Cr 2.03, 3 Mn 2.03-2.04
N  0.9998  0.7504  0.6645  3 Cr 2.01-2.02, 3 Mn 2.06-2.07

## Properties
**Energy above the most stable polymorph in this dataset**: 108.9 meV per atom
**Total energy**: -36.1 eV for the cell shown
**Symmetry**: Cm
**E_form**: -0.331 eV/atom



6.
Mn2CrNiSb2 | PBE | relaxed

Unit cell a=7.4217 b=7.4217 c=7.4217 alpha=33.42 beta=33.42 gamma=33.42
With the nearest neighbours (Å) after each atom.
Fractional positions:
Mn  0.0007  0.0007  0.0007  4 Sb 2.63-2.66
Mn  0.4989  0.4989  0.4989  4 Sb 2.59-2.61
Cr  0.7489  0.7489  0.7489  4 Sb 2.64
Ni  0.2512  0.2512  0.2512  4 Sb 2.59-2.60
Sb  0.1273  0.1273  0.1273  4 Mn 2.59-2.66, 1 Ni 2.60, 3 Cr 2.64
Sb  0.6230  0.6230  0.6230  3 Ni 2.59, 4 Mn 2.61-2.63, 1 Cr 2.64

## Properties
**Total energy**: -39.9 eV for the cell shown
**Symmetry**: R3m
**E_form**: 0.282 eV/atom